Below is a geometry-optimized Li2Fe2SnO6 structure, with properties calculated at the GGA+U level.

Lattice parameters (Å, degrees): 8.9455 5.1998 10.1233 90.00 90.00 90.00
Space group Cmce (No. 64)
Symmetry-distinct sites (fractional):
Li (0.2500, 0.0895, 0.2500) [8 per cell]
Fe (0.1636, 0.0000, 0.0000) [8 per cell]
Sn (0.0000, 0.0000, 0.5000) [4 per cell]
O (0.0000, 0.1545, 0.9002) [8 per cell]
O (0.1790, 0.1698, 0.6051) [16 per cell]

---

Below is a geometry-optimized Li3Fe3Sn2O10 structure, with properties calculated at the GGA+U level.

Lattice parameters (Å, degrees): 5.2150 5.3506 8.1423 74.42 74.87 77.26
Space group P-1 (No. 2)
Symmetry-distinct sites (fractional):
Li (0.0000, 0.0000, 0.0000) [1 per cell]
Li (0.4704, 0.7046, 0.1133) [2 per cell]
Fe (0.0299, 0.1888, 0.6040) [2 per cell]
Fe (0.5000, 0.5000, 0.5000) [1 per cell]
Sn (0.0116, 0.3800, 0.1966) [2 per cell]
O (0.1840, 0.0053, 0.1786) [2 per cell]
O (0.2096, 0.8215, 0.5598) [2 per cell]
O (0.2278, 0.6047, 0.9797) [2 per cell]
O (0.2289, 0.4554, 0.3675) [2 per cell]
O (0.2683, 0.3024, 0.7190) [2 per cell]

---

Below is a geometry-optimized Li3Fe2SnO6 structure, with properties calculated at the GGA+U level.

Lattice parameters (Å, degrees): 13.2391 3.0749 6.1227 90.00 103.03 90.00
Space group C2/m (No. 12)
Symmetry-distinct sites (fractional):
Li (0.0000, 0.0000, 0.0000) [2 per cell]
Li (0.1730, 0.5000, 0.3324) [4 per cell]
Fe (0.1736, 0.5000, 0.8509) [4 per cell]
Sn (0.0000, 0.0000, 0.5000) [2 per cell]
O (0.0018, 0.5000, 0.7377) [4 per cell]
O (0.1607, 0.0000, 0.5975) [4 per cell]
O (0.1666, 0.0000, 0.0745) [4 per cell]

---

Below is a geometry-optimized Li4Fe5SnO12 structure, with properties calculated at the GGA+U level.

Lattice parameters (Å, degrees): 5.2883 9.0623 10.3622 90.00 91.41 90.00
Space group C2/m (No. 12)
Symmetry-distinct sites (fractional):
Li (0.1209, 0.2363, 0.2540) [8 per cell]
Fe (0.0000, 0.0000, 0.5000) [2 per cell]
Fe (0.0000, 0.1629, 0.0000) [4 per cell]
Fe (0.0000, 0.3356, 0.5000) [4 per cell]
Sn (0.0000, 0.5000, 0.0000) [2 per cell]
O (0.1562, 0.3249, 0.8909) [8 per cell]
O (0.1565, 0.1768, 0.6071) [8 per cell]
O (0.1598, 0.0000, 0.8995) [4 per cell]
O (0.1716, 0.5000, 0.5932) [4 per cell]

---

Below is a geometry-optimized Li4Fe5Sn3O16 structure, with properties calculated at the GGA+U level.

Computed properties:
* energy relative to the lowest polymorph listed for this composition: 14 meV per atom

Lattice parameters (Å, degrees): 6.1014 6.1054 9.6981 90.20 90.19 119.84
Space group P1 (No. 1)
Symmetry-distinct sites (fractional):
Li (0.0000, 0.0000, 0.0000) [1 per cell]
Li (0.0108, 0.9957, 0.4917) [1 per cell]
Li (0.3052, 0.6790, 0.3885) [1 per cell]
Li (0.6526, 0.3462, 0.8986) [1 per cell]
Fe (0.1593, 0.8445, 0.7198) [1 per cell]
Fe (0.3290, 0.1824, 0.2138) [1 per cell]
Fe (0.3305, 0.6916, 0.9949) [1 per cell]
Fe (0.6453, 0.3463, 0.4882) [1 per cell]
Fe (0.8127, 0.6724, 0.2172) [1 per cell]
Sn (0.1543, 0.3514, 0.7145) [1 per cell]
Sn (0.6481, 0.8416, 0.7112) [1 per cell]
Sn (0.8242, 0.1876, 0.2135) [1 per cell]
O (0.0055, 0.0162, 0.3079) [1 per cell]
O (0.0274, 0.5381, 0.8469) [1 per cell]
O (0.1654, 0.3373, 0.0996) [1 per cell]
O (0.1688, 0.8599, 0.1061) [1 per cell]
O (0.3127, 0.6814, 0.5971) [1 per cell]
O (0.3171, 0.1746, 0.6005) [1 per cell]
O (0.4703, 0.9778, 0.8426) [1 per cell]
O (0.4718, 0.5317, 0.8436) [1 per cell]
O (0.4874, 0.4756, 0.3344) [1 per cell]
O (0.4967, 0.0516, 0.3365) [1 per cell]
O (0.6415, 0.3458, 0.1057) [1 per cell]
O (0.6687, 0.8499, 0.0967) [1 per cell]
O (0.8232, 0.6811, 0.5963) [1 per cell]
O (0.8241, 0.1713, 0.5909) [1 per cell]
O (0.9417, 0.4982, 0.3448) [1 per cell]
O (0.9892, 0.0105, 0.8150) [1 per cell]

---

Below is a geometry-optimized Li4Fe5Sn3O16 structure, with properties calculated at the GGA+U level.

Computed properties:
* energy relative to the lowest polymorph listed for this composition: 0 meV per atom

Lattice parameters (Å, degrees): 10.6066 6.1286 9.6842 90.00 90.66 90.00
Space group Cm (No. 8)
Symmetry-distinct sites (fractional):
Li (0.0000, 0.0000, 0.0000) [2 per cell]
Li (0.0025, 0.0000, 0.4916) [2 per cell]
Li (0.1586, 0.5000, 0.8948) [2 per cell]
Li (0.3235, 0.0000, 0.3865) [2 per cell]
Fe (0.0774, 0.2552, 0.2141) [4 per cell]
Fe (0.1541, 0.5000, 0.4860) [2 per cell]
Fe (0.1625, 0.0000, 0.7154) [2 per cell]
Fe (0.3218, 0.0000, 0.9948) [2 per cell]
Sn (0.3220, 0.5000, 0.2119) [2 per cell]
Sn (0.4079, 0.2460, 0.7130) [4 per cell]
O (0.0117, 0.5000, 0.3365) [2 per cell]
O (0.0758, 0.2450, 0.5977) [4 per cell]
O (0.1535, 0.5000, 0.1008) [2 per cell]
O (0.1582, 0.0000, 0.1027) [2 per cell]
O (0.2294, 0.2775, 0.3420) [4 per cell]
O (0.2504, 0.2194, 0.8419) [4 per cell]
O (0.3216, 0.0000, 0.5965) [2 per cell]
O (0.3306, 0.5000, 0.5923) [2 per cell]
O (0.4120, 0.2525, 0.0959) [4 per cell]
O (0.4752, 0.0000, 0.8439) [2 per cell]
O (0.4962, 0.5000, 0.3077) [2 per cell]
O (0.4966, 0.5000, 0.8146) [2 per cell]

---

Table of energy with MP2020 corrections (eV per atom), in record order: -6.8069; -6.8516; -6.6484; -6.9603; -6.9245; -6.9384
Table of energy (eV/cell), in record order: -264.970; -109.691; -142.293; -267.205; -171.615; -344.009